Record 1
Entry from Materials Project: crystalline Mg2CoWO6 at its relaxed geometry (PBE+U).

Results
Energy of formation, kJ/mol of formula units: -2241
Symmetry: P1

a b c (Å): 5.205 7.629 5.571
angles (deg): 95.38 89.66 89.95
Atoms (fractional coordinates):
O1 0.326 0.044 0.861
O2 0.370 0.726 0.543
O3 0.713 0.901 0.200
O4 0.649 0.251 0.549
O5 0.827 0.543 0.360
O6 0.213 0.402 0.701
O7 0.869 0.225 0.043
O8 0.150 0.751 0.050
O9 0.658 0.544 0.840
O10 0.327 0.407 0.225
O11 0.825 0.906 0.726
O12 0.156 0.044 0.342
Mg1 0.007 0.787 0.422
Mg2 0.508 0.286 0.920
Mg3 0.007 0.289 0.418
Mg4 0.507 0.788 0.918
W1 0.007 0.990 0.013
W2 0.506 0.491 0.514
Co1 0.506 0.002 0.491
Co2 0.005 0.500 0.000


Record 2
Entry from Materials Project: crystalline Mg2CoWO6 at its relaxed geometry (PBE+U).

Results
Energy of formation, kJ/mol of formula units: -2270
Symmetry: P2_1/c

a b c (Å): 5.181 5.328 7.787
angles (deg): 89.99 90.27 90.03
Atoms (fractional coordinates):
O1 0.333 0.700 0.592
O2 0.683 0.322 0.049
O3 0.868 0.587 0.770
O4 0.833 0.800 0.092
O5 0.183 0.178 0.549
O6 0.369 0.913 0.269
O7 0.132 0.413 0.230
O8 0.631 0.087 0.731
O9 0.667 0.300 0.408
O10 0.817 0.822 0.451
O11 0.317 0.678 0.951
O12 0.167 0.200 0.908
Mg1 0.494 0.452 0.769
Mg2 0.506 0.548 0.231
Mg3 0.006 0.952 0.731
Mg4 0.994 0.048 0.269
W1 0.500 0.000 0.500
W2 0.000 0.500 0.000
Co1 0.500 0.000 0.000
Co2 0.000 0.500 0.500


Record 3
Entry from Materials Project: crystalline YMgCoW2O8 at its relaxed geometry (PBE+U).

Results
Energy of formation, kJ/mol of formula units: -2996
Symmetry: P1

a b c (Å): 5.416 6.126 5.854
angles (deg): 107.18 118.35 89.33
Atoms (fractional coordinates):
O1 0.549 0.025 0.364
O2 0.143 0.627 0.853
O3 0.133 0.134 0.808
O4 0.604 0.474 0.352
O5 0.682 0.362 0.834
O6 0.640 0.911 0.857
O7 0.112 0.248 0.396
O8 0.088 0.794 0.324
Mg1 0.071 0.950 0.021
Y1 0.619 0.685 0.105
W1 0.384 0.056 0.620
W2 0.865 0.335 0.589
Co1 0.155 0.453 0.146


Record 4
Entry from Materials Project: crystalline YMgCoW2O8 at its relaxed geometry (PBE+U).

Results
Energy of formation, kJ/mol of formula units: -2835
Symmetry: P1

a b c (Å): 5.286 6.287 6.026
angles (deg): 109.07 111.44 94.12
Atoms (fractional coordinates):
W1 0.295 0.065 0.595
W2 0.851 0.381 0.593
O1 0.073 0.251 0.387
O2 0.574 0.047 0.418
O3 0.602 0.398 0.798
O4 0.063 0.799 0.345
O5 0.556 0.989 0.884
O6 0.104 0.646 0.837
O7 0.649 0.484 0.306
O8 0.088 0.202 0.823
Co1 0.374 0.172 0.146
Mg1 0.859 0.278 0.058
Y1 0.571 0.728 0.090


| no. | distance to the lowest polymorph of the same formula (kJ per mole of atoms) | corrected total energy (MP2020 scheme) (eV per atom) |
| --- | --- | --- |
| 1 | 6.51 | -7.619 |
| 2 | 3.69 | -7.648 |
| 3 | 2.43 | -8.595 |
| 4 | 14.87 | -8.466 |